No. 1
This record from the Materials Project database describes a relaxed structure of ZrPd. The functional is GGA-PBE.

a = 5.4818 Å, b = 5.4818 Å, c = 4.4412 Å
α = 90.00°, β = 90.00°, γ = 144.51°
With the nearest neighbours (Å) after each atom.
Fractional positions:
Pd 0.5885 0.4115 0.7500  7 Zr 2.81-2.93, 2 Pd 2.89
Zr 0.1422 0.8578 0.2500  7 Pd 2.81-2.93
Pd 0.4115 0.5885 0.2500  7 Zr 2.81-2.93, 2 Pd 2.89
Zr 0.8578 0.1422 0.7500  7 Pd 2.81-2.93

---

No. 2
This record from the Materials Project database describes a relaxed structure of Pm. The functional is GGA-PBE.

a = 3.6544 Å, b = 3.6544 Å, c = 3.6544 Å
α = 60.00°, β = 60.00°, γ = 60.00°
With the nearest neighbours (Å) after each atom.
Fractional positions:
Pm 0.0000 0.0000 0.0000  12 Pm 3.65

---

No. 3
This record from the Materials Project database describes a relaxed structure of Pm. The functional is GGA-PBE.

a = 9.2006 Å, b = 9.2006 Å, c = 9.2006 Å
α = 23.00°, β = 23.00°, γ = 23.00°
With the nearest neighbours (Å) after each atom.
Fractional positions:
Pm 0.7772 0.7772 0.7772  12 Pm 3.65-3.68
Pm 0.0000 0.0000 0.0000  12 Pm 3.65-3.67
Pm 0.2228 0.2228 0.2228  12 Pm 3.65-3.68

---

No. 4
This record from the Materials Project database describes a relaxed structure of Pm. The functional is GGA-PBE.

a = 3.6752 Å, b = 3.6752 Å, c = 11.8257 Å
α = 90.00°, β = 90.00°, γ = 120.00°
With the nearest neighbours (Å) after each atom.
Fractional positions:
Pm 0.0000 0.0000 0.0000  12 Pm 3.64-3.68
Pm 0.3333 0.6667 0.2500  12 Pm 3.64-3.68
Pm 0.0000 0.0000 0.5000  12 Pm 3.64-3.68
Pm 0.6667 0.3333 0.7500  12 Pm 3.64-3.68

---

No. 5
This record from the Materials Project database describes a relaxed structure of Pm3Pr. The functional is GGA-PBE.

a = 6.3899 Å, b = 6.3899 Å, c = 6.3899 Å
α = 132.13°, β = 132.13°, γ = 70.02°
With the nearest neighbours (Å) after each atom.
Fractional positions:
Pm 0.7500 0.2500 0.5000  8 Pm 3.67-3.68, 4 Pr 3.68
Pm 0.2500 0.7500 0.5000  8 Pm 3.67-3.68, 4 Pr 3.68
Pr 0.0000 0.0000 0.0000  12 Pm 3.67-3.68
Pm 0.5000 0.5000 0.0000  4 Pr 3.67, 8 Pm 3.68

---

No. 6
This record from the Materials Project database describes a relaxed structure of PmPr3. The functional is GGA-PBE.

a = 6.4382 Å, b = 6.4382 Å, c = 6.4382 Å
α = 132.04°, β = 132.04°, γ = 70.17°
With the nearest neighbours (Å) after each atom.
Fractional positions:
Pm 0.0000 0.0000 0.0000  12 Pr 3.70-3.71
Pr 0.2500 0.7500 0.5000  8 Pr 3.70-3.71, 4 Pm 3.71
Pr 0.7500 0.2500 0.5000  8 Pr 3.70-3.71, 4 Pm 3.71
Pr 0.5000 0.5000 0.0000  4 Pm 3.70, 8 Pr 3.71

---

For reference, mass density by record: 8473 6977 6922 6962 6797 6533 kg/m3.
For reference, electronic total energy by record: -7.516 -4.741 -4.748 -4.751 -4.744 -4.759 eV per atom.